1.
KHfMg6O7 (GGA-PBE, optimized geometry); SG = No. 99; crystal system = tetragonal; ΔE to the lowest computed polymorph = 24 meV per atom
1.0
4.140 0.000 0.000
0.000 4.140 0.000
0.000 0.000 11.936
K Hf Mg O
1 1 6 7
Cartesian
0.000 0.000 0.000 K
2.070 2.070 10.363 Hf
0.000 0.000 5.464 Mg
0.000 2.070 3.022 Mg
0.000 2.070 7.931 Mg
2.070 0.000 3.022 Mg
2.070 0.000 7.931 Mg
2.070 2.070 5.537 Mg
0.000 0.000 7.445 O
0.000 2.070 5.105 O
0.000 2.070 9.952 O
2.070 0.000 5.105 O
2.070 0.000 9.952 O
2.070 2.070 0.340 O
2.070 2.070 7.621 O

---

2.
CdH4S2O5 (GGA-PBE, optimized geometry); SG = No. 14; crystal system = monoclinic
1.0
5.916 0.000 0.000
0.000 7.229 0.000
-2.976 0.000 13.989
Cd H S O
4 16 8 20
Cartesian
0.242 1.326 2.556 Cd
-1.246 2.289 9.551 Cd
4.186 4.940 4.438 Cd
2.698 5.904 11.432 Cd
-1.695 1.177 13.761 H
-0.207 2.438 6.766 H
0.124 4.783 6.771 H
-1.364 6.061 13.765 H
0.158 1.006 7.382 H
1.646 2.609 0.387 H
0.956 4.684 5.446 H
-0.532 6.160 12.441 H
3.472 1.069 1.548 H
1.984 2.545 8.543 H
1.294 4.620 13.601 H
2.782 6.223 6.607 H
4.304 1.169 0.223 H
2.816 2.446 7.218 H
3.147 4.791 7.222 H
4.635 6.052 0.228 H
-0.483 3.892 2.407 S
-1.971 6.952 9.401 S
1.296 4.987 2.276 S
-0.192 5.857 9.271 S
3.132 1.373 4.718 S
1.644 2.242 11.713 S
4.911 0.277 4.588 S
3.423 3.337 11.582 S
-0.615 4.518 8.791 O
0.873 6.326 1.797 O
0.111 4.403 5.867 O
-1.376 6.441 12.861 O
1.468 1.664 0.599 O
-0.020 1.951 7.594 O
2.121 4.303 1.281 O
0.633 6.541 8.276 O
1.915 5.044 3.623 O
0.427 5.799 10.617 O
2.513 1.430 3.372 O
1.025 2.185 10.366 O
2.307 0.688 5.713 O
0.819 2.926 12.707 O
2.960 5.279 6.395 O
1.472 5.565 13.390 O
4.316 0.788 1.128 O
2.828 2.826 8.122 O
2.067 0.903 12.192 O
3.555 2.711 5.197 O

---

3.
Li7Y7Zr9S32 (GGA-PBE, optimized geometry); SG = No. 1; crystal system = triclinic
1.0
7.687 0.000 0.000
3.720 6.795 0.000
3.470 1.891 24.856
Li Y Zr S
7 7 9 32
Cartesian
0.000 0.000 0.000 Li
3.546 1.974 20.184 Li
3.716 2.165 6.205 Li
7.426 4.344 12.441 Li
7.504 4.430 7.766 Li
11.144 6.515 18.670 Li
11.233 6.598 13.974 Li
3.632 4.383 10.100 Y
5.370 5.328 22.535 Y
7.349 6.554 16.316 Y
5.609 0.993 10.097 Y
7.344 1.943 22.533 Y
9.328 3.164 16.317 Y
7.592 2.225 3.864 Y
1.775 0.988 10.104 Zr
3.628 2.077 13.226 Zr
5.495 3.165 16.326 Zr
5.644 5.578 3.822 Zr
7.352 4.246 19.436 Zr
9.168 5.315 22.553 Zr
7.592 4.527 0.782 Zr
9.427 5.586 3.830 Zr
11.314 6.693 6.977 Zr
3.688 4.623 5.369 S
1.739 0.891 5.420 S
3.666 2.067 17.744 S
5.505 5.243 17.861 S
5.464 5.702 8.533 S
3.587 2.082 8.651 S
5.550 3.170 20.892 S
7.375 6.340 20.956 S
7.317 6.778 11.643 S
5.424 3.151 11.713 S
7.402 4.250 23.947 S
9.233 7.421 24.102 S
9.183 7.870 14.743 S
7.306 4.253 14.870 S
5.745 3.551 2.353 S
7.541 6.604 2.427 S
7.312 2.155 17.859 S
9.141 5.326 17.927 S
7.534 4.570 5.308 S
5.777 0.896 5.434 S
9.189 3.247 20.951 S
11.035 6.427 21.099 S
9.530 5.612 8.450 S
7.634 1.986 8.517 S
11.033 4.335 24.123 S
12.848 7.505 24.189 S
11.351 6.691 11.531 S
9.474 3.071 11.648 S
9.416 3.558 2.349 S
11.375 6.659 2.479 S
13.242 7.791 14.679 S
11.343 4.162 14.746 S

---

4.
Na5Si6O18 (GGA-PBE, optimized geometry); SG = No. 2; crystal system = triclinic; ΔE to the lowest computed polymorph = 80 meV per atom
1.0
7.778 0.000 0.000
-3.348 7.063 0.000
-0.849 -4.199 8.599
Na Si O
5 6 18
Cartesian
0.000 0.000 0.000 Na
0.028 -0.219 4.368 Na
0.865 5.383 0.131 Na
2.716 -2.518 8.468 Na
3.553 3.084 4.231 Na
-2.009 4.182 1.968 Si
-2.026 1.702 6.345 Si
0.533 2.508 2.068 Si
3.048 0.356 6.531 Si
5.606 1.162 2.254 Si
5.590 -1.317 6.632 Si
-2.415 5.126 0.725 O
-1.740 1.989 4.673 O
-0.506 1.214 2.186 O
-1.450 0.171 6.628 O
-2.593 5.053 3.197 O
-0.375 3.887 1.952 O
-1.334 2.783 7.243 O
1.562 2.323 0.833 O
1.979 0.328 5.317 O
1.602 2.536 3.282 O
2.019 0.541 7.766 O
4.915 0.081 1.356 O
3.955 -1.023 6.648 O
6.173 -2.189 5.402 O
5.031 2.693 1.971 O
4.087 1.650 6.414 O
5.321 0.875 3.927 O
5.996 -2.262 7.874 O

---

5.
Sm2Mn3Bi6 (GGA-PBE, optimized geometry); SG = No. 11; crystal system = monoclinic
1.0
10.317 0.000 0.000
0.000 4.462 0.000
-3.794 0.000 12.779
Sm Mn Bi
4 6 12
Cartesian
-0.541 1.115 4.100 Sm
-1.117 3.346 12.554 Sm
7.640 1.115 0.225 Sm
7.064 3.346 8.679 Sm
0.367 3.346 9.120 Mn
3.473 1.115 4.338 Mn
1.894 1.115 9.742 Mn
4.629 3.346 3.037 Mn
3.050 3.346 8.441 Mn
6.156 1.115 3.659 Mn
0.550 1.115 1.006 Bi
-0.724 3.346 6.531 Bi
-1.197 1.115 10.089 Bi
1.833 3.346 3.264 Bi
1.871 1.115 6.871 Bi
4.505 1.115 1.370 Bi
2.018 3.346 11.409 Bi
4.652 3.346 5.908 Bi
4.689 1.115 9.516 Bi
7.719 3.346 2.690 Bi
7.247 1.115 6.248 Bi
5.973 3.346 11.773 Bi

---

For each record above, in turn, the calculated ΔH_f (0 K) values are -2.584 -1.301 -1.976 -2.245 -0.194 eV per atom.